Record 1
## Gd3YFe4O12 (GGA+U)

Data for a relaxed structure of Gd3YFe4O12.

Cell lengths 7.745, 5.391, 5.661 Å; angles 89.99, 90.00, 90.00 degrees
Sites, in units of the cell vectors:
1 Gd 0.000 0.017 0.936
2 Gd 0.500 0.983 0.064
3 Gd 0.500 0.517 0.563
4 O 0.807 0.196 0.198
5 O 0.000 0.609 0.043
6 O 0.808 0.307 0.695
7 O 0.306 0.805 0.803
8 O 0.193 0.196 0.198
9 O 0.305 0.694 0.303
10 O 0.192 0.307 0.695
11 O 0.694 0.805 0.803
12 O 0.500 0.108 0.460
13 O 0.000 0.886 0.540
14 O 0.695 0.694 0.303
15 O 0.500 0.391 0.961
16 Fe 0.751 0.500 0.000
17 Fe 0.249 0.500 0.000
18 Fe 0.751 0.000 0.500
19 Fe 0.249 0.000 0.500
20 Y 0.000 0.483 0.435

Output
Total magnetization (μB per cell): 13.00
Space group: Pm (6)
DFT total energy (eV per atom): -9.04
ΔE_f (eV/atom): -2.81

Record 2
## LaFeGe2O7 (GGA+U)

Data for a relaxed structure of LaFeGe2O7.

Cell lengths 6.728, 7.421, 13.246 Å; angles 62.70, 90.00, 90.00 degrees
Sites, in units of the cell vectors:
1 La 0.853 0.758 0.976
2 La 0.647 0.758 0.476
3 La 0.147 0.242 0.024
4 La 0.353 0.242 0.524
5 Fe 0.103 0.213 0.768
6 Fe 0.397 0.213 0.268
7 Fe 0.603 0.787 0.732
8 Fe 0.897 0.787 0.232
9 O 0.374 0.437 0.303
10 O 0.505 0.252 0.921
11 O 0.667 0.010 0.579
12 O 0.186 0.844 0.187
13 O 0.323 0.591 0.483
14 O 0.893 0.779 0.779
15 O 0.607 0.779 0.279
16 O 0.823 0.409 0.017
17 O 0.333 0.990 0.421
18 O 0.107 0.221 0.221
19 O 0.314 0.844 0.687
20 O 0.047 0.206 0.627
21 O 0.393 0.221 0.721
22 O 0.453 0.206 0.127
23 O 0.814 0.156 0.813
24 O 0.495 0.748 0.079
25 O 0.547 0.794 0.873
26 O 0.626 0.563 0.697
27 O 0.167 0.990 0.921
28 O 0.874 0.563 0.197
29 O 0.005 0.748 0.579
30 O 0.126 0.437 0.803
31 O 0.995 0.252 0.421
32 O 0.686 0.156 0.313
33 O 0.177 0.591 0.983
34 O 0.953 0.794 0.373
35 O 0.833 0.010 0.079
36 O 0.677 0.409 0.517
37 Ge 0.343 0.785 0.959
38 Ge 0.091 0.702 0.719
39 Ge 0.157 0.785 0.459
40 Ge 0.409 0.702 0.219
41 Ge 0.843 0.215 0.541
42 Ge 0.909 0.298 0.281
43 Ge 0.657 0.215 0.041
44 Ge 0.591 0.298 0.781

Output
Total magnetization (μB per cell): 20.00
Space group: P2_1/c (14)
DFT total energy (eV per atom): -7.05
ΔE_f (eV/atom): -2.48

Record 3
## LiFeGe2O6 (GGA+U)

Data for a relaxed structure of LiFeGe2O6.

Cell lengths 6.620, 6.620, 5.271 Å; angles 80.97, 80.97, 85.01 degrees
Sites, in units of the cell vectors:
1 O 0.371 0.874 0.867
2 O 0.194 0.031 0.375
3 O 0.031 0.194 0.875
4 O 0.426 0.295 0.584
5 O 0.874 0.371 0.367
6 O 0.295 0.426 0.084
7 O 0.629 0.126 0.133
8 O 0.705 0.574 0.916
9 O 0.969 0.806 0.125
10 O 0.574 0.705 0.416
11 O 0.126 0.629 0.633
12 O 0.806 0.969 0.625
13 Ge 0.392 0.207 0.288
14 Ge 0.608 0.793 0.712
15 Ge 0.793 0.608 0.212
16 Ge 0.207 0.392 0.788
17 Fe 0.900 0.100 0.250
18 Fe 0.100 0.900 0.750
19 Li 0.730 0.270 0.750
20 Li 0.270 0.730 0.250

Output
Total magnetization (μB per cell): 10.00
Space group: C2/c (15)
DFT total energy (eV per atom): -6.36
Offset from the most stable computed form (eV/f.u.): 0.07
ΔE_f (eV/atom): -2.06

Record 4
## Li2FeGeO4 (GGA+U)

Data for a relaxed structure of Li2FeGeO4.

Cell lengths 7.524, 7.524, 8.267 Å; angles 65.26, 65.26, 94.62 degrees
Sites, in units of the cell vectors:
1 O 0.369 0.729 0.500
2 O 0.530 0.351 0.725
3 O 0.229 0.869 0.000
4 O 0.659 0.984 0.000
5 O 0.030 0.851 0.725
6 O 0.076 0.255 0.775
7 O 0.255 0.076 0.275
8 O 0.729 0.369 0.000
9 O 0.755 0.576 0.275
10 O 0.159 0.484 0.000
11 O 0.984 0.659 0.500
12 O 0.484 0.159 0.500
13 O 0.351 0.530 0.225
14 O 0.851 0.030 0.225
15 O 0.576 0.755 0.775
16 O 0.869 0.229 0.500
17 Fe 0.091 0.414 0.500
18 Fe 0.914 0.591 0.000
19 Fe 0.414 0.091 0.000
20 Fe 0.591 0.914 0.500
21 Li 0.541 0.709 0.250
22 Li 0.709 0.541 0.750
23 Li 0.791 0.958 0.750
24 Li 0.041 0.209 0.250
25 Li 0.209 0.041 0.750
26 Li 0.291 0.458 0.750
27 Li 0.958 0.791 0.250
28 Li 0.458 0.291 0.250
29 Ge 0.830 0.162 0.000
30 Ge 0.162 0.830 0.500
31 Ge 0.662 0.330 0.500
32 Ge 0.330 0.662 0.000

Output
Total magnetization (μB per cell): 0.00
DFT total energy (eV per atom): -6.10
Largest piezoelectric modulus (C/m²): 1.6
ΔE_f (eV/atom): -2.14

Record 5
## LiFeGe2O6 (GGA+U)

Data for a relaxed structure of LiFeGe2O6.

Cell lengths 6.730, 6.730, 5.604 Å; angles 74.89, 74.89, 81.16 degrees
Sites, in units of the cell vectors:
1 O 0.386 0.341 0.434
2 O 0.195 0.014 0.857
3 O 0.614 0.659 0.566
4 O 0.341 0.386 0.934
5 O 0.805 0.986 0.143
6 O 0.918 0.365 0.795
7 O 0.986 0.805 0.643
8 O 0.365 0.918 0.295
9 O 0.635 0.082 0.705
10 O 0.659 0.614 0.066
11 O 0.014 0.195 0.357
12 O 0.082 0.635 0.205
13 Ge 0.196 0.383 0.252
14 Ge 0.383 0.196 0.752
15 Ge 0.804 0.617 0.748
16 Ge 0.617 0.804 0.248
17 Fe 0.094 0.906 0.250
18 Fe 0.906 0.094 0.750
19 Li 0.720 0.280 0.250
20 Li 0.280 0.720 0.750

Output
Total magnetization (μB per cell): 10.00
Space group: C2/c (15)
DFT total energy (eV per atom): -6.36
Offset from the most stable computed form (eV/f.u.): 0.08
ΔE_f (eV/atom): -2.06

Record 6
## LiFeGe2O6 (GGA+U)

Data for a relaxed structure of LiFeGe2O6.

Cell lengths 8.937, 5.455, 9.751 Å; angles 76.95, 90.00, 90.00 degrees
Sites, in units of the cell vectors:
1 Ge 0.842 0.734 0.046
2 Ge 0.840 0.322 0.448
3 Ge 0.160 0.678 0.552
4 Ge 0.658 0.234 0.046
5 Ge 0.158 0.266 0.954
6 Ge 0.340 0.178 0.552
7 Ge 0.660 0.822 0.448
8 Ge 0.342 0.766 0.954
9 Fe 0.349 0.963 0.251
10 Fe 0.651 0.037 0.749
11 Fe 0.849 0.537 0.749
12 Fe 0.151 0.463 0.251
13 O 0.168 0.743 0.364
14 O 0.003 0.246 0.371
15 O 0.791 0.996 0.117
16 O 0.809 0.653 0.388
17 O 0.980 0.328 0.885
18 O 0.709 0.496 0.117
19 O 0.209 0.004 0.883
20 O 0.832 0.816 0.858
21 O 0.691 0.153 0.388
22 O 0.997 0.754 0.629
23 O 0.480 0.172 0.115
24 O 0.668 0.316 0.858
25 O 0.832 0.257 0.636
26 O 0.332 0.243 0.364
27 O 0.291 0.504 0.883
28 O 0.168 0.184 0.142
29 O 0.497 0.746 0.371
30 O 0.668 0.757 0.636
31 O 0.191 0.347 0.612
32 O 0.309 0.847 0.612
33 O 0.503 0.254 0.629
34 O 0.020 0.672 0.115
35 O 0.332 0.684 0.142
36 O 0.520 0.828 0.885
37 Li 0.989 0.963 0.258
38 Li 0.489 0.537 0.742
39 Li 0.511 0.463 0.258
40 Li 0.011 0.037 0.742

Output
Total magnetization (μB per cell): 20.00
Space group: P2_1/c (14)
DFT total energy (eV per atom): -6.36
Offset from the most stable computed form (eV/f.u.): 0.00
ΔE_f (eV/atom): -2.07

Record 7
## MgFeGe2O6 (GGA+U)

Data for a relaxed structure of MgFeGe2O6.

Cell lengths 9.176, 5.465, 9.922 Å; angles 75.56, 90.00, 90.00 degrees
Sites, in units of the cell vectors:
1 Mg 0.488 0.552 0.243
2 Mg 0.512 0.448 0.757
3 Mg 0.012 0.052 0.243
4 Mg 0.988 0.948 0.757
5 Ge 0.156 0.250 0.458
6 Ge 0.661 0.822 0.945
7 Ge 0.839 0.322 0.945
8 Ge 0.656 0.250 0.542
9 Ge 0.344 0.750 0.458
10 Ge 0.161 0.678 0.055
11 Ge 0.339 0.178 0.055
12 Ge 0.844 0.750 0.542
13 O 0.321 0.833 0.109
14 O 0.493 0.197 0.633
15 O 0.661 0.749 0.129
16 O 0.839 0.249 0.129
17 O 0.518 0.724 0.860
18 O 0.821 0.667 0.891
19 O 0.679 0.167 0.891
20 O 0.482 0.276 0.140
21 O 0.847 0.828 0.361
22 O 0.347 0.672 0.639
23 O 0.018 0.776 0.140
24 O 0.339 0.251 0.871
25 O 0.791 0.014 0.612
26 O 0.179 0.333 0.109
27 O 0.007 0.697 0.633
28 O 0.507 0.803 0.367
29 O 0.153 0.172 0.639
30 O 0.209 0.986 0.388
31 O 0.653 0.328 0.361
32 O 0.993 0.303 0.367
33 O 0.709 0.514 0.612
34 O 0.161 0.751 0.871
35 O 0.982 0.224 0.860
36 O 0.291 0.486 0.388
37 Fe 0.155 0.455 0.754
38 Fe 0.655 0.045 0.246
39 Fe 0.845 0.545 0.246
40 Fe 0.345 0.955 0.754

Output
Total magnetization (μB per cell): 16.00
Space group: P2_1/c (14)
DFT total energy (eV per atom): -6.49
Offset from the most stable computed form (eV/f.u.): 0.04
ΔE_f (eV/atom): -2.23

Record 8
## MgFeGe2O6 (GGA+U)

Data for a relaxed structure of MgFeGe2O6.

Cell lengths 5.252, 9.803, 9.177 Å; angles 90.00, 90.00, 79.63 degrees
Sites, in units of the cell vectors:
1 Mg 0.250 0.500 0.771
2 Mg 0.750 0.500 0.229
3 Mg 0.750 0.000 0.729
4 Mg 0.250 0.000 0.271
5 Ge 0.214 0.699 0.094
6 Ge 0.715 0.199 0.406
7 Ge 0.786 0.801 0.406
8 Ge 0.786 0.301 0.906
9 Ge 0.286 0.301 0.094
10 Ge 0.714 0.699 0.906
11 Ge 0.214 0.199 0.594
12 Ge 0.285 0.801 0.594
13 O 0.405 0.140 0.431
14 O 0.859 0.118 0.905
15 O 0.405 0.640 0.931
16 O 0.095 0.860 0.431
17 O 0.886 0.615 0.761
18 O 0.359 0.118 0.095
19 O 0.859 0.618 0.405
20 O 0.385 0.115 0.739
21 O 0.595 0.360 0.069
22 O 0.641 0.882 0.905
23 O 0.385 0.615 0.239
24 O 0.615 0.385 0.761
25 O 0.141 0.882 0.095
26 O 0.359 0.618 0.595
27 O 0.114 0.385 0.239
28 O 0.141 0.382 0.595
29 O 0.886 0.115 0.261
30 O 0.095 0.360 0.931
31 O 0.905 0.640 0.069
32 O 0.595 0.860 0.569
33 O 0.641 0.382 0.405
34 O 0.905 0.140 0.569
35 O 0.615 0.885 0.261
36 O 0.115 0.885 0.739
37 Fe 0.250 0.500 0.408
38 Fe 0.750 0.000 0.092
39 Fe 0.750 0.500 0.592
40 Fe 0.250 0.000 0.908

Output
Total magnetization (μB per cell): 0.00
DFT total energy (eV per atom): -6.50
Offset from the most stable computed form (eV/f.u.): 0.00
ΔE_f (eV/atom): -2.24